No. 1
Here is a relaxed structure of Li3Ni4O8 from Materials Project. Energies are from r²SCAN.

Lattice parameters (Å, degrees): 5.7469 5.7469 5.0086 107.79 107.79 58.35
Closest atoms and distances in Å follow each position.
Fractional positions:
Li  0.0000  0.0000  0.0000  6 O 2.10-2.20
Li  0.0000  0.5000  0.0000  6 O 2.06-2.09
Li  0.5000  0.0000  0.0000  6 O 2.06-2.09
Ni  0.2518  0.2518  0.5081  6 O 1.86-1.91
Ni  0.2517  0.7483  0.5000  6 O 1.93-2.08
Ni  0.7483  0.2517  0.5000  6 O 1.93-2.08
Ni  0.7482  0.7482  0.4919  6 O 1.86-1.91
O  0.0997  0.6181  0.7199  3 Ni 1.86-2.08, 1 Li 2.06
O  0.1260  0.1260  0.7180  3 Ni 1.91-1.95, 2 Li 2.07
O  0.3711  0.3711  0.2961  3 Ni 1.86-1.93
O  0.3819  0.9003  0.2801  3 Ni 1.86-2.08, 1 Li 2.06
O  0.6181  0.0997  0.7199  3 Ni 1.86-2.08, 1 Li 2.06
O  0.6289  0.6289  0.7039  3 Ni 1.86-1.93
O  0.8740  0.8740  0.2820  3 Ni 1.91-1.95, 2 Li 2.07
O  0.9003  0.3819  0.2801  3 Ni 1.86-2.08, 1 Li 2.06

Output
Energy above the lowest structure with this stoichiometry   4 meV per atom
Crystal system   monoclinic
E_form   -1.465 eV/atom



No. 2
Here is a relaxed structure of LiNi3O4 from Materials Project. Energies are from r²SCAN.

Lattice parameters (Å, degrees): 5.7926 5.8038 5.8066 90.05 119.79 119.75
Closest atoms and distances in Å follow each position.
Fractional positions:
Li  0.0000  0.0000  0.0000  6 O 2.02-2.20
Li  0.5000  0.0000  0.0000  6 O 2.02-2.20
Ni  0.0000  0.0000  0.5000  6 O 2.05-2.07
Ni  0.0000  0.5000  0.0000  6 O 2.05-2.06
Ni  0.0000  0.5000  0.5000  6 O 1.91-2.09
Ni  0.5000  0.0000  0.5000  6 O 2.06-2.07
Ni  0.5000  0.5000  0.0000  6 O 2.06
Ni  0.5000  0.5000  0.5000  6 O 1.90-2.11
O  0.9996  0.2453  0.7546  1 Li 2.02, 5 Ni 2.05-2.09
O  0.0004  0.7547  0.2454  1 Li 2.02, 5 Ni 2.05-2.09
O  0.0116  0.7386  0.7373  4 Ni 1.91-2.11, 1 Li 2.02
O  0.4676  0.7171  0.7183  4 Ni 1.92-2.07
O  0.4988  0.7309  0.2677  5 Ni 1.90-2.07
O  0.5012  0.2691  0.7323  5 Ni 1.90-2.07
O  0.5324  0.2829  0.2817  4 Ni 1.92-2.07
O  0.9884  0.2614  0.2627  4 Ni 1.91-2.11, 1 Li 2.02

Output
Energy above the lowest structure with this stoichiometry   0 meV per atom
Crystal system   triclinic
E_form   -1.388 eV/atom



No. 3
Here is a relaxed structure of Li2Ni5O7 from Materials Project. Energies are from r²SCAN.

Lattice parameters (Å, degrees): 5.0055 5.0055 6.4845 97.68 97.68 47.83
Closest atoms and distances in Å follow each position.
Fractional positions:
Li  0.0683  0.0683  0.2137  6 O 2.03-2.14
Li  0.9317  0.9317  0.7863  6 O 2.03-2.14
Ni  0.2155  0.2155  0.6440  6 O 1.98-2.06
Ni  0.3605  0.3605  0.0695  6 O 1.98-2.07
Ni  0.5000  0.5000  0.5000  6 O 1.97-2.05
Ni  0.6395  0.6395  0.9305  6 O 1.98-2.07
Ni  0.7845  0.7845  0.3560  6 O 1.98-2.06
O  0.0000  0.0000  0.5000  4 Ni 2.03-2.06, 2 Li 2.04
O  0.1549  0.1549  0.9251  4 Ni 1.98-2.03, 2 Li 2.11-2.14
O  0.2931  0.2931  0.3612  5 Ni 1.97-2.07, 1 Li 2.14
O  0.4298  0.4298  0.7861  4 Ni 2.01-2.05, 2 Li 2.03
O  0.5702  0.5702  0.2139  4 Ni 2.01-2.05, 2 Li 2.03
O  0.7069  0.7069  0.6388  5 Ni 1.97-2.07, 1 Li 2.14
O  0.8451  0.8451  0.0749  4 Ni 1.98-2.03, 2 Li 2.11-2.14

Output
Crystal system   monoclinic
E_form   -1.377 eV/atom



No. 4
Here is a relaxed structure of LiNi6O7 from Materials Project. Energies are from r²SCAN.

Lattice parameters (Å, degrees): 5.0461 5.8237 8.7796 89.96 84.43 73.27
Closest atoms and distances in Å follow each position.
Fractional positions:
Li  0.1408  0.2139  0.2206  6 O 2.05-2.17
Li  0.8592  0.7861  0.7794  6 O 2.05-2.17
Ni  0.0000  0.0000  0.5000  6 O 2.04-2.07
Ni  0.0000  0.5000  0.5000  6 O 2.04-2.06
Ni  0.1443  0.7145  0.2159  6 O 2.04-2.10
Ni  0.2792  0.4304  0.9302  6 O 2.00-2.10
Ni  0.2858  0.9282  0.9283  6 O 2.02-2.09
Ni  0.4248  0.6461  0.6454  6 O 2.05-2.08
Ni  0.4296  0.1407  0.6439  6 O 2.04-2.08
Ni  0.5704  0.8593  0.3561  6 O 2.04-2.08
Ni  0.5752  0.3539  0.3546  6 O 2.05-2.08
Ni  0.7142  0.0718  0.0717  6 O 2.02-2.09
Ni  0.7208  0.5696  0.0698  6 O 2.00-2.10
Ni  0.8557  0.2855  0.7841  6 O 2.04-2.10
O  0.0040  0.7533  0.0047  5 Ni 2.04-2.06, 1 Li 2.16
O  0.1404  0.9686  0.7120  5 Ni 2.04-2.09, 1 Li 2.05
O  0.1406  0.4605  0.7117  5 Ni 2.04-2.10, 1 Li 2.06
O  0.2854  0.1798  0.4322  5 Ni 2.05-2.07, 1 Li 2.05
O  0.2866  0.6767  0.4288  6 Ni 2.06-2.08
O  0.4443  0.3942  0.1385  5 Ni 2.00-2.10, 1 Li 2.16
O  0.4455  0.8833  0.1363  5 Ni 2.00-2.10, 1 Li 2.17
O  0.5545  0.1167  0.8637  5 Ni 2.00-2.10, 1 Li 2.17
O  0.5557  0.6058  0.8615  5 Ni 2.00-2.10, 1 Li 2.16
O  0.7134  0.3233  0.5712  6 Ni 2.06-2.08
O  0.7146  0.8202  0.5678  5 Ni 2.05-2.07, 1 Li 2.05
O  0.8594  0.5395  0.2883  5 Ni 2.04-2.10, 1 Li 2.06
O  0.8596  0.0314  0.2880  5 Ni 2.04-2.09, 1 Li 2.05
O  0.9960  0.2467  0.9953  5 Ni 2.04-2.06, 1 Li 2.16

Output
Crystal system   triclinic
E_form   -1.279 eV/atom



No. 5
Here is a relaxed structure of Li7Ni9O18 from Materials Project. Energies are from r²SCAN.

Lattice parameters (Å, degrees): 5.7698 6.3501 8.5809 77.19 89.63 76.18
Closest atoms and distances in Å follow each position.
Fractional positions:
Li  0.0000  0.0000  0.0000  4 O 1.99-2.11
Li  0.0022  0.9938  0.3297  6 O 1.97-2.18
Li  0.3402  0.6551  0.5553  6 O 1.99-2.21
Li  0.3442  0.6590  0.8985  6 O 2.00-2.23
Li  0.6558  0.3410  0.1015  6 O 2.00-2.23
Li  0.6598  0.3449  0.4447  6 O 1.99-2.21
Li  0.9978  0.0062  0.6703  6 O 1.97-2.18
Ni  0.1598  0.3341  0.1124  6 O 1.84-1.91
Ni  0.1642  0.3334  0.4408  6 O 1.86-1.90
Ni  0.1687  0.3298  0.7773  6 O 1.99-2.05
Ni  0.4868  0.9972  0.3327  5 O 1.87-2.04
Ni  0.5000  0.0000  0.0000  6 O 1.89-2.06
Ni  0.5132  0.0028  0.6673  5 O 1.87-2.04
Ni  0.8313  0.6702  0.2227  6 O 1.99-2.05
Ni  0.8358  0.6666  0.5592  6 O 1.86-1.90
Ni  0.8402  0.6659  0.8876  6 O 1.84-1.91
O  0.0615  0.6603  0.7216  3 Ni 1.90-1.99, 1 Li 2.08
O  0.0649  0.6486  0.4054  3 Ni 1.86-2.03, 2 Li 2.06-2.09
O  0.0672  0.6501  0.0454  3 Ni 1.86-2.04, 1 Li 2.03
O  0.2317  0.0276  0.1600  2 Ni 1.84-2.04, 2 Li 1.97-1.99
O  0.2569  0.0183  0.4892  3 Ni 1.88-2.10, 1 Li 2.07
O  0.2944  0.9995  0.8291  3 Ni 1.87-2.00, 1 Li 2.06
O  0.3865  0.3138  0.2780  3 Ni 1.89-1.90
O  0.3908  0.3172  0.9624  3 Ni 1.85-2.02, 2 Li 2.00-2.07
O  0.3969  0.3180  0.5943  3 Ni 1.86-2.05, 2 Li 1.99-2.04
O  0.6031  0.6820  0.4057  3 Ni 1.86-2.05, 2 Li 1.99-2.04
O  0.6092  0.6828  0.0376  3 Ni 1.85-2.02, 2 Li 2.00-2.07
O  0.6135  0.6862  0.7220  3 Ni 1.89-1.90
O  0.7056  0.0005  0.1709  3 Ni 1.87-2.00, 1 Li 2.06
O  0.7431  0.9817  0.5108  3 Ni 1.88-2.10, 1 Li 2.07
O  0.7683  0.9724  0.8400  2 Ni 1.84-2.04, 2 Li 1.97-1.99
O  0.9328  0.3499  0.9546  3 Ni 1.86-2.04, 1 Li 2.03
O  0.9351  0.3514  0.5946  3 Ni 1.86-2.03, 2 Li 2.06-2.09
O  0.9385  0.3397  0.2784  3 Ni 1.90-1.99, 1 Li 2.08

Output
Crystal system   triclinic
E_form   -1.480 eV/atom



No. 6
Here is a relaxed structure of LiNi3O4 from Materials Project. Energies are from r²SCAN.

Lattice parameters (Å, degrees): 5.0555 5.0559 5.7444 90.00 90.00 109.24
Closest atoms and distances in Å follow each position.
Fractional positions:
Li  0.0000  0.5000  0.2500  6 O 2.03-2.18
Li  0.0000  0.5000  0.7500  6 O 2.03-2.18
Ni  0.5000  0.0000  0.7500  6 O 1.93-2.09
Ni  0.0000  0.0000  0.5001  6 O 2.05-2.07
Ni  0.5000  0.5000  0.0001  6 O 2.05-2.07
Ni  0.5000  0.0000  0.2500  6 O 1.93-2.09
Ni  0.0000  0.0000  0.9999  6 O 2.05-2.07
Ni  0.5000  0.5000  0.4999  6 O 2.05-2.07
O  0.2800  0.7802  0.0000  4 Ni 1.93-2.07
O  0.2800  0.7802  0.5000  4 Ni 1.93-2.07
O  0.7200  0.2198  0.0000  4 Ni 1.93-2.07
O  0.7200  0.2198  0.5000  4 Ni 1.93-2.07
O  0.7541  0.7466  0.2500  1 Li 2.03, 5 Ni 2.05-2.09
O  0.7533  0.7458  0.7500  1 Li 2.03, 5 Ni 2.05-2.09
O  0.2459  0.2534  0.2500  1 Li 2.03, 5 Ni 2.05-2.09
O  0.2467  0.2542  0.7500  1 Li 2.03, 5 Ni 2.05-2.09

Output
Energy above the lowest structure with this stoichiometry   5 meV per atom
E_form   -1.383 eV/atom



No. 7
Here is a relaxed structure of Li2NiO2 from Materials Project. Energies are from r²SCAN.

Lattice parameters (Å, degrees): 3.0900 3.0900 9.9774 90.00 90.00 120.00
Closest atoms and distances in Å follow each position.
Fractional positions:
Li  0.6667  0.3333  0.1789  4 O 1.89-2.04
Li  0.3333  0.6667  0.8211  4 O 1.89-2.04
Li  0.3333  0.6667  0.3211  4 O 1.89-2.04
Li  0.6667  0.3333  0.6789  4 O 1.89-2.04
Ni  0.0000  0.0000  0.5000  6 O 2.13
Ni  0.0000  0.0000  0.0000  6 O 2.13
O  0.3333  0.6667  0.6170  4 Li 1.89-2.04
O  0.6667  0.3333  0.8830  4 Li 1.89-2.04
O  0.3333  0.6667  0.1170  4 Li 1.89-2.04
O  0.6667  0.3333  0.3830  4 Li 1.89-2.04

Output
E_form   -1.691 eV/atom



No. 8
Here is a relaxed structure of Li2NiO3 from Materials Project. Energies are from r²SCAN.

Lattice parameters (Å, degrees): 4.8313 4.8313 4.9289 99.53 99.53 119.96
Closest atoms and distances in Å follow each position.
Fractional positions:
Li  0.0000  0.0000  0.0000  6 O 2.01-2.02
Li  0.1627  0.8373  0.5000  6 O 2.00-2.12
Li  0.5000  0.5000  0.5000  6 O 1.98-2.11
Li  0.8373  0.1627  0.5000  6 O 2.00-2.12
Ni  0.3332  0.6668  0.0000  6 O 1.87-1.88
Ni  0.6668  0.3332  0.0000  6 O 1.87-1.88
O  0.0746  0.4311  0.2228  2 Ni 1.87, 2 Li 2.00-2.01
O  0.2802  0.2802  0.7743  2 Ni 1.88, 4 Li 1.98-2.07
O  0.4311  0.0746  0.2228  2 Ni 1.87, 2 Li 2.00-2.01
O  0.5689  0.9254  0.7772  2 Ni 1.87, 2 Li 2.00-2.01
O  0.7198  0.7198  0.2257  2 Ni 1.88, 4 Li 1.98-2.07
O  0.9254  0.5689  0.7772  2 Ni 1.87, 2 Li 2.00-2.01

Output
Crystal system   monoclinic
E_form   -1.708 eV/atom